# 1
A relaxed structure of CaFe2As2O10. Source: the Materials Project database, functional PBE with a Hubbard U.

Calculated values
* calculated density: 3.99 g/cm3

```
CaFe2As2O10
1.0
0.044 -4.628 2.763
4.292 -3.000 -1.277
5.269 0.398 5.701
Ca Fe As O
1 2 2 10
Direct
0.000 0.000 0.000
0.500 0.000 0.500
0.000 0.500 0.500
0.578 0.578 0.212
0.422 0.422 0.788
0.268 0.268 0.003
0.732 0.732 0.997
0.684 0.223 0.254
0.316 0.777 0.746
0.777 0.316 0.746
0.223 0.684 0.254
0.839 0.839 0.563
0.161 0.161 0.437
0.670 0.670 0.375
0.330 0.330 0.625
```


# 2
A relaxed structure of CaFeAs2O7. Source: the Materials Project database, functional PBE with a Hubbard U.

Calculated values
* calculated density: 3.85 g/cm3

```
CaFeAs2O7
1.0
-5.950 -0.038 -6.983
-0.907 -7.450 0.813
-7.118 -1.970 6.076
Ca Fe As O
4 4 8 28
Direct
0.067 0.743 0.929
0.567 0.257 0.571
0.933 0.257 0.071
0.433 0.743 0.429
0.945 0.198 0.693
0.445 0.802 0.807
0.055 0.802 0.307
0.555 0.198 0.193
0.762 0.580 0.736
0.262 0.420 0.764
0.238 0.420 0.264
0.738 0.580 0.236
0.705 0.984 0.955
0.205 0.016 0.545
0.295 0.016 0.045
0.795 0.984 0.455
0.691 0.145 0.042
0.191 0.855 0.458
0.309 0.855 0.958
0.809 0.145 0.542
0.587 0.657 0.727
0.087 0.343 0.773
0.413 0.343 0.273
0.913 0.657 0.227
0.866 0.567 0.887
0.366 0.433 0.613
0.134 0.433 0.113
0.634 0.567 0.387
0.854 0.754 0.577
0.354 0.246 0.923
0.146 0.246 0.423
0.646 0.754 0.077
0.911 0.016 0.310
0.411 0.984 0.190
0.089 0.984 0.690
0.589 0.016 0.810
0.735 0.375 0.201
0.235 0.625 0.299
0.265 0.625 0.799
0.765 0.375 0.701
0.616 0.988 0.405
0.116 0.012 0.095
0.384 0.012 0.595
0.884 0.988 0.905
```


# 3
A relaxed structure of CaFeSbAs2O7. Source: the Materials Project database, functional PBE with a Hubbard U.

Calculated values
* calculated density: 4.31 g/cm3

```
CaFeSbAs2O7
1.0
-0.656 -4.898 11.860
-8.835 0.134 -9.327
8.785 -7.776 -5.238
Ca Fe Sb As O
8 8 8 16 56
Direct
0.798 0.458 0.961
0.708 0.248 0.160
0.162 0.202 0.660
0.542 0.502 0.340
0.452 0.292 0.539
0.752 0.912 0.461
0.088 0.548 0.840
0.498 0.838 0.039
0.360 0.105 0.728
0.377 0.631 0.272
0.369 0.640 0.745
0.355 0.127 0.245
0.881 0.110 0.755
0.890 0.645 0.772
0.895 0.623 0.255
0.873 0.119 0.228
0.935 0.786 0.501
0.285 0.434 0.499
0.315 0.964 0.999
0.566 0.065 0.851
0.965 0.316 0.001
0.684 0.685 0.649
0.214 0.715 0.149
0.036 0.035 0.351
0.270 0.936 0.431
0.527 0.359 0.039
0.930 0.262 0.539
0.089 0.020 0.834
0.738 0.277 0.668
0.505 0.839 0.569
0.064 0.495 0.334
0.512 0.473 0.832
0.186 0.255 0.166
0.745 0.911 0.931
0.723 0.391 0.461
0.609 0.070 0.332
0.980 0.814 0.069
0.320 0.488 0.961
0.641 0.680 0.168
0.161 0.730 0.666
0.583 0.702 0.278
0.730 0.094 0.456
0.298 0.452 0.661
0.756 0.986 0.070
0.702 0.541 0.654
0.363 0.702 0.154
0.073 0.813 0.393
0.334 0.064 0.570
0.741 0.727 0.516
0.936 0.506 0.270
0.273 0.789 0.014
0.014 0.084 0.770
0.520 0.656 0.044
0.887 0.048 0.346
0.555 0.333 0.380
0.696 0.935 0.634
0.612 0.476 0.956
0.829 0.070 0.893
0.695 0.417 0.120
0.667 0.048 0.222
0.187 0.579 0.259
0.638 0.274 0.544
0.494 0.764 0.430
0.825 0.445 0.778
0.950 0.688 0.134
0.977 0.961 0.486
0.211 0.226 0.484
0.185 0.050 0.738
0.774 0.259 0.986
0.524 0.480 0.136
0.509 0.023 0.984
0.063 0.171 0.241
0.065 0.700 0.762
0.344 0.388 0.864
0.236 0.666 0.730
0.320 0.927 0.741
0.952 0.298 0.839
0.938 0.304 0.238
0.312 0.446 0.262
0.459 0.113 0.161
0.177 0.937 0.107
0.791 0.637 0.339
0.476 0.491 0.514
0.930 0.823 0.759
0.554 0.815 0.866
0.425 0.305 0.722
0.300 0.062 0.366
0.906 0.362 0.636
0.916 0.686 0.930
0.421 0.680 0.607
0.952 0.175 0.620
0.298 0.575 0.880
0.548 0.209 0.846
0.726 0.270 0.364
0.039 0.524 0.016
0.314 0.244 0.230
```


# 4
A relaxed structure of CaZnFeAs2O10. Source: the Materials Project database, functional PBE with a Hubbard U.

Calculated values
* calculated density: 4.08 g/cm3

```
CaZnFeAs2O10
1.0
-1.996 -3.387 -3.638
3.835 -3.554 -1.453
-1.284 -6.775 3.353
Ca Zn Fe As O
1 1 1 2 10
Direct
0.000 0.000 0.000
0.500 0.000 0.500
0.000 0.500 0.500
0.412 0.427 0.791
0.588 0.573 0.209
0.869 0.829 0.571
0.131 0.171 0.429
0.312 0.333 0.631
0.688 0.667 0.369
0.732 0.739 0.989
0.268 0.261 0.011
0.314 0.774 0.754
0.765 0.321 0.746
0.686 0.226 0.246
0.235 0.679 0.254
```


# 5
A relaxed structure of CaMnAs2H6O10. Source: the Materials Project database, functional PBE with a Hubbard U.

Calculated values
* calculated density: 2.98 g/cm3

```
CaMnAs2H6O10
1.0
-2.978 -5.664 -2.962
6.198 -4.645 -0.053
-2.049 -4.163 7.214
Ca Mn As H O
2 2 4 12 20
Direct
0.872 0.102 0.830
0.128 0.898 0.170
0.662 0.850 0.578
0.338 0.150 0.422
0.364 0.137 0.815
0.165 0.771 0.572
0.835 0.229 0.428
0.636 0.863 0.185
0.578 0.767 0.955
0.750 0.460 0.918
0.124 0.609 0.948
0.502 0.577 0.726
0.715 0.489 0.662
0.235 0.472 0.679
0.765 0.528 0.321
0.285 0.511 0.338
0.498 0.423 0.274
0.876 0.391 0.052
0.250 0.540 0.082
0.422 0.233 0.045
0.861 0.374 0.943
0.419 0.293 0.938
0.577 0.995 0.793
0.178 0.038 0.914
0.944 0.874 0.649
0.639 0.596 0.712
0.231 0.596 0.713
0.839 0.305 0.606
0.303 0.264 0.651
0.341 0.903 0.571
0.659 0.097 0.429
0.697 0.736 0.349
0.161 0.695 0.394
0.769 0.404 0.287
0.361 0.404 0.288
0.056 0.126 0.351
0.822 0.962 0.086
0.423 0.005 0.207
0.581 0.707 0.062
0.139 0.626 0.057
```


# 6
A relaxed structure of Ca2MnAs2H4O10. Source: the Materials Project database, functional PBE with a Hubbard U.

Calculated values
* calculated density: 3.46 g/cm3

```
Ca2MnAs2H4O10
1.0
13.167 0.000 0.000
0.000 5.792 0.000
0.000 1.853 5.659
Ca Mn As H O
4 2 4 8 20
Direct
0.880 0.758 0.569
0.380 0.742 0.431
0.120 0.242 0.431
0.620 0.258 0.569
0.500 0.500 0.000
0.000 0.000 0.000
0.878 0.429 0.224
0.378 0.071 0.776
0.122 0.571 0.776
0.622 0.929 0.224
0.710 0.499 0.894
0.210 0.001 0.106
0.290 0.501 0.106
0.790 0.999 0.894
0.656 0.695 0.684
0.156 0.805 0.316
0.344 0.305 0.316
0.844 0.195 0.684
0.643 0.532 0.804
0.143 0.968 0.196
0.962 0.651 0.247
0.462 0.849 0.753
0.038 0.349 0.753
0.538 0.151 0.247
0.946 0.158 0.288
0.446 0.342 0.712
0.054 0.842 0.712
0.554 0.658 0.288
0.825 0.502 0.950
0.325 0.998 0.050
0.175 0.498 0.050
0.675 0.002 0.950
0.793 0.417 0.450
0.293 0.083 0.550
0.207 0.583 0.550
0.707 0.917 0.450
0.857 0.032 0.804
0.357 0.468 0.196
```


# 7
A relaxed structure of CaMnZnAs2H3O10. Source: the Materials Project database, functional PBE with a Hubbard U.

Calculated values
* calculated density: 4.05 g/cm3

```
CaMnZnAs2H3O10
1.0
-4.813 -2.376 1.519
-9.180 12.344 -12.878
-1.455 -6.061 -4.110
Ca Mn Zn As H O
4 4 4 8 12 40
Direct
0.251 0.250 0.251
0.501 0.500 0.502
0.753 0.750 0.747
0.002 0.000 0.997
0.005 0.501 0.003
0.256 0.749 0.248
0.756 0.250 0.754
0.507 0.999 0.498
0.128 0.128 0.631
0.376 0.379 0.888
0.629 0.628 0.132
0.880 0.877 0.375
0.735 0.147 0.348
0.978 0.400 0.607
0.229 0.649 0.855
0.485 0.897 0.095
0.520 0.103 0.903
0.770 0.354 0.155
0.027 0.601 0.395
0.277 0.850 0.642
0.261 0.050 0.302
0.512 0.300 0.554
0.758 0.549 0.805
0.008 0.798 0.053
0.994 0.203 0.938
0.246 0.455 0.190
0.497 0.704 0.437
0.745 0.952 0.686
0.038 0.006 0.485
0.289 0.257 0.736
0.535 0.507 0.988
0.785 0.756 0.235
0.422 0.171 0.407
0.666 0.422 0.662
0.917 0.673 0.910
0.172 0.922 0.156
0.740 0.060 0.310
0.992 0.312 0.570
0.241 0.562 0.817
0.489 0.810 0.057
0.832 0.079 0.842
0.081 0.328 0.093
0.338 0.577 0.340
0.589 0.828 0.588
0.513 0.190 0.939
0.762 0.441 0.190
0.011 0.688 0.431
0.262 0.938 0.679
0.857 0.171 0.526
0.098 0.426 0.789
0.348 0.674 0.037
0.607 0.920 0.274
0.391 0.078 0.728
0.642 0.330 0.979
0.904 0.576 0.215
0.154 0.824 0.463
0.944 0.185 0.153
0.191 0.436 0.412
0.440 0.686 0.661
0.692 0.935 0.902
0.310 0.065 0.098
0.562 0.315 0.349
0.814 0.564 0.590
0.064 0.815 0.839
0.208 0.036 0.445
0.458 0.287 0.697
0.707 0.537 0.946
0.957 0.786 0.193
0.048 0.216 0.799
0.297 0.467 0.051
0.548 0.716 0.298
0.799 0.965 0.547
```


# 8
A relaxed structure of CaMnZnAs2H3O10. Source: the Materials Project database, functional PBE with a Hubbard U.

Calculated values
* calculated density: 4.01 g/cm3

```
CaMnZnAs2H3O10
1.0
4.063 3.197 -2.040
4.057 -9.696 -2.224
0.041 -0.106 -7.499
Ca Mn Zn As H O
2 2 2 4 6 20
Direct
0.501 0.500 0.999
0.001 0.000 0.999
0.506 0.000 0.501
0.006 0.500 0.501
0.256 0.256 0.503
0.756 0.756 0.503
0.881 0.295 0.202
0.381 0.795 0.202
0.623 0.206 0.798
0.123 0.706 0.798
0.311 0.100 0.254
0.810 0.600 0.254
0.199 0.406 0.734
0.699 0.906 0.734
0.043 0.013 0.480
0.543 0.513 0.480
0.591 0.343 0.236
0.091 0.843 0.236
0.801 0.122 0.251
0.301 0.622 0.251
0.912 0.157 0.763
0.412 0.657 0.763
0.703 0.379 0.747
0.203 0.879 0.747
0.026 0.342 0.356
0.526 0.842 0.356
0.472 0.157 0.648
0.972 0.657 0.648
0.128 0.372 0.969
0.628 0.872 0.969
0.376 0.129 0.032
0.876 0.629 0.032
0.244 0.073 0.409
0.744 0.573 0.409
0.266 0.432 0.582
0.766 0.932 0.582
```


Result set for corrected total energy (MP2020 scheme): -6.94; -7.05; -6.75; -6.38; -6.30; -6.60; -6.43; -6.44 eV/atom, one per record in the order listed.
Result set for calculated formation energy: -1762; -2106; -1874; -1682; -1786; -2099; -1910; -1915 meV/atom, one per record in the order listed.